# 1
Computed, not measured: crystalline Ho2MgIn at its relaxed geometry at the r2SCAN level of DFT.

CIF file:
```
data_Ho2MgIn
_chemical_formula_sum 'Ho8 Mg4 In4'
_symmetry_space_group_name_H-M 'F m -3 m'
_symmetry_Int_Tables_number 225
_symmetry_space_group_name_Hall '-F 4 2 3'
_cell_length_a 7.447
_cell_length_b 7.447
_cell_length_c 7.447
_cell_angle_alpha 90.00
_cell_angle_beta 90.00
_cell_angle_gamma 90.00
loop_
_atom_site_label
_atom_site_fract_x
_atom_site_fract_y
_atom_site_fract_z
_atom_site_occupancy
Ho1 0.250 0.250 0.250 1
Mg1 0.000 0.000 0.000 1
In1 0.000 0.000 0.500 1
```

# 2
Computed, not measured: crystalline NdHoIn2 at its relaxed geometry at the r2SCAN level of DFT.

CIF file:
```
data_NdHoIn2
_chemical_formula_sum 'Nd4 Ho4 In8'
_symmetry_space_group_name_H-M 'F m -3 m'
_symmetry_Int_Tables_number 225
_symmetry_space_group_name_Hall '-F 4 2 3'
_cell_length_a 7.592
_cell_length_b 7.592
_cell_length_c 7.592
_cell_angle_alpha 90.00
_cell_angle_beta 90.00
_cell_angle_gamma 90.00
loop_
_atom_site_label
_atom_site_fract_x
_atom_site_fract_y
_atom_site_fract_z
_atom_site_occupancy
Nd1 0.000 0.000 0.000 1
Ho1 0.000 0.000 0.500 1
In1 0.250 0.250 0.250 1
```

# 3
Computed, not measured: crystalline Ho10In20Ni9 at its relaxed geometry at the r2SCAN level of DFT.

CIF file:
```
data_Ho10In20Ni9
_chemical_formula_sum 'Ho20 In40 Ni18'
_symmetry_space_group_name_H-M 'P 4/n m m'
_symmetry_Int_Tables_number 129
_cell_length_a 13.284
_cell_length_b 13.284
_cell_length_c 9.101
_cell_angle_alpha 90.00
_cell_angle_beta 90.00
_cell_angle_gamma 90.00
loop_
_symmetry_equiv_pos_as_xyz
'x,y,z'
'-x,-y,-z'
'-y+1/2,x,z'
'y+1/2,-x,-z'
'-x+1/2,-y+1/2,z'
'x+1/2,y+1/2,-z'
'y,-x+1/2,z'
'-y,x+1/2,-z'
'x+1/2,-y,-z'
'-x+1/2,y,z'
'-y,-x,-z'
'y,x,z'
'-x,y+1/2,-z'
'x,-y+1/2,z'
'y+1/2,x+1/2,-z'
'-y+1/2,-x+1/2,z'
loop_
_atom_site_label
_atom_site_fract_x
_atom_site_fract_y
_atom_site_fract_z
_atom_site_occupancy
Ho1 0.027 0.750 0.232 1
Ho2 0.047 0.047 0.268 1
Ho3 0.250 0.250 0.363 1
Ho4 0.250 0.250 0.835 1
In1 0.083 0.250 0.092 1
In2 0.095 0.595 0.000 1
In3 0.118 0.118 0.590 1
In4 0.120 0.620 0.500 1
In5 0.134 0.750 0.766 1
Ni1 0.026 0.250 0.410 1
Ni2 0.095 0.095 0.896 1
Ni3 0.250 0.750 0.000 1
```

# 4
Computed, not measured: crystalline Ho5In4Ni2 at its relaxed geometry at the r2SCAN level of DFT.

CIF file:
```
data_Ho5In4Ni2
_chemical_formula_sum 'Ho10 In8 Ni4'
_symmetry_space_group_name_H-M 'P b a m'
_symmetry_Int_Tables_number 55
_cell_length_a 7.879
_cell_length_b 17.761
_cell_length_c 3.580
_cell_angle_alpha 90.00
_cell_angle_beta 90.00
_cell_angle_gamma 90.00
loop_
_symmetry_equiv_pos_as_xyz
'x,y,z'
'-x,-y,-z'
'-x,-y,z'
'x,y,-z'
'x+1/2,-y+1/2,-z'
'-x+1/2,y+1/2,z'
'-x+1/2,y+1/2,-z'
'x+1/2,-y+1/2,z'
loop_
_atom_site_label
_atom_site_fract_x
_atom_site_fract_y
_atom_site_fract_z
_atom_site_occupancy
Ho1 0.000 0.000 0.000 1
Ho2 0.115 0.413 0.000 1
Ho3 0.246 0.222 0.000 1
In1 0.073 0.848 0.500 1
In2 0.207 0.570 0.500 1
Ni1 0.026 0.305 0.500 1
```

# 5
Computed, not measured: crystalline HoInNi at its relaxed geometry at the r2SCAN level of DFT.

CIF file:
```
data_HoInNi
_chemical_formula_sum 'Ho3 In3 Ni3'
_symmetry_space_group_name_H-M 'P -6 2 m'
_symmetry_Int_Tables_number 189
_symmetry_space_group_name_Hall 'P -6 -2'
_cell_length_a 7.3932
_cell_length_b 7.3932
_cell_length_c 3.7348
_cell_angle_alpha 90.00
_cell_angle_beta 90.00
_cell_angle_gamma 120.00
loop_
_atom_site_label
_atom_site_fract_x
_atom_site_fract_y
_atom_site_fract_z
_atom_site_occupancy
Ho1 0.0000 0.5886 0.0000 1
In1 0.0000 0.2545 0.5000 1
Ni1 0.0000 0.0000 0.0000 1
Ni2 0.3333 0.6667 0.5000 1
```

# 6
Computed, not measured: crystalline Ho2InNi2 at its relaxed geometry at the r2SCAN level of DFT.

CIF file:
```
data_Ho2InNi2
_chemical_formula_sum 'Ho4 In2 Ni4'
_symmetry_space_group_name_H-M 'C m m m'
_symmetry_Int_Tables_number 65
_symmetry_space_group_name_Hall '-C 2 2'
_cell_length_a 3.828
_cell_length_b 14.115
_cell_length_c 3.673
_cell_angle_alpha 90.00
_cell_angle_beta 90.00
_cell_angle_gamma 90.00
loop_
_atom_site_label
_atom_site_fract_x
_atom_site_fract_y
_atom_site_fract_z
_atom_site_occupancy
Ho1 0.000 0.138 0.000 1
In1 0.000 0.500 0.500 1
Ni1 0.000 0.300 0.500 1
```

# 7
Computed, not measured: crystalline HoInO3 at its relaxed geometry at the r2SCAN level of DFT.

CIF file:
```
data_HoInO3
_chemical_formula_sum 'Ho6 In6 O18'
_symmetry_space_group_name_H-M 'P 63 c m'
_symmetry_Int_Tables_number 185
_symmetry_space_group_name_Hall 'P 6c -2'
_cell_length_a 6.2631
_cell_length_b 6.2631
_cell_length_c 12.2456
_cell_angle_alpha 90.00
_cell_angle_beta 90.00
_cell_angle_gamma 120.00
loop_
_atom_site_label
_atom_site_fract_x
_atom_site_fract_y
_atom_site_fract_z
_atom_site_occupancy
Ho1 0.0000 0.0000 0.0000 1
Ho2 0.3333 0.6667 0.4643 1
In1 0.0000 0.3333 0.2301 1
O1 0.0000 0.0000 0.1961 1
O2 0.0000 0.3040 0.4021 1
O3 0.0000 0.3649 0.0603 1
O4 0.3333 0.6667 0.2607 1
```

# 8
Computed, not measured: crystalline HoIn2Pd at its relaxed geometry at the r2SCAN level of DFT.

CIF file:
```
data_HoIn2Pd
_chemical_formula_sum 'Ho20 In40 Pd20'
_symmetry_space_group_name_H-M 'I 4 m m'
_symmetry_Int_Tables_number 107
_symmetry_space_group_name_Hall 'I 4 -2'
_cell_length_a 13.734
_cell_length_b 13.734
_cell_length_c 9.136
_cell_angle_alpha 90.00
_cell_angle_beta 90.00
_cell_angle_gamma 90.00
loop_
_atom_site_label
_atom_site_fract_x
_atom_site_fract_y
_atom_site_fract_z
_atom_site_occupancy
Ho1 0.000 0.000 0.000 1
Ho2 0.000 0.000 0.471 1
Ho3 0.000 0.279 0.072 1
Ho4 0.202 0.202 0.585 1
In1 0.000 0.162 0.743 1
In2 0.000 0.383 0.597 1
In3 0.131 0.131 0.238 1
In4 0.142 0.350 0.335 1
Pd1 0.000 0.214 0.436 1
Pd2 0.000 0.500 0.347 1
Pd3 0.161 0.161 0.929 1
```

# 9
Computed, not measured: crystalline PmHoIn2 at its relaxed geometry at the r2SCAN level of DFT.

CIF file:
```
data_PmHoIn2
_chemical_formula_sum 'Pm4 Ho4 In8'
_symmetry_space_group_name_H-M 'F m -3 m'
_symmetry_Int_Tables_number 225
_symmetry_space_group_name_Hall '-F 4 2 3'
_cell_length_a 7.560
_cell_length_b 7.560
_cell_length_c 7.560
_cell_angle_alpha 90.00
_cell_angle_beta 90.00
_cell_angle_gamma 90.00
loop_
_atom_site_label
_atom_site_fract_x
_atom_site_fract_y
_atom_site_fract_z
_atom_site_occupancy
Pm1 0.000 0.000 0.000 1
Ho1 0.000 0.000 0.500 1
In1 0.250 0.250 0.250 1
```

# 10
Computed, not measured: crystalline HoIn5Rh at its relaxed geometry at the r2SCAN level of DFT.

CIF file:
```
data_HoIn5Rh
_chemical_formula_sum 'Ho1 In5 Rh1'
_symmetry_space_group_name_H-M 'P 4/m m m'
_symmetry_Int_Tables_number 123
_symmetry_space_group_name_Hall '-P 4 2'
_cell_length_a 4.630
_cell_length_b 4.630
_cell_length_c 7.407
_cell_angle_alpha 90.00
_cell_angle_beta 90.00
_cell_angle_gamma 90.00
loop_
_atom_site_label
_atom_site_fract_x
_atom_site_fract_y
_atom_site_fract_z
_atom_site_occupancy
Ho1 0.000 0.000 0.000 1
In1 0.000 0.500 0.300 1
In2 0.500 0.500 0.000 1
Rh1 0.000 0.000 0.500 1
```

| no. | formation energy from the elements (eV/atom) |
| --- | --- |
| 1 | -0.388 |
| 2 | -0.596 |
| 3 | -0.518 |
| 4 | -0.614 |
| 5 | -0.558 |
| 6 | -0.575 |
| 7 | -2.893 |
| 8 | -0.759 |
| 9 | -0.601 |
| 10 | -0.524 |